Material: DyTa7O19
Method: DFT, PBE
State: optimized geometry

Geometry as CIF:
```
data_DyTa7O19
_chemical_formula_sum 'Dy2 Ta14 O38'
_space_group_name_H-M_alt 'P -6 c 2'
_space_group_IT_number 188
_space_group_name_Hall 'P -6c 2'
_cell_length_a 6.2695
_cell_length_b 6.2695
_cell_length_c 20.0763
_cell_angle_alpha 90.00
_cell_angle_beta 90.00
_cell_angle_gamma 120.00
loop_
_atom_site_label
_atom_site_type_symbol
_atom_site_fract_x
_atom_site_fract_y
_atom_site_fract_z
_atom_site_occupancy
Dy1 Dy 0.0000 0.0000 0.0000 1
Ta1 Ta 0.0261 0.3336 0.1555 1
Ta2 Ta 0.3333 0.6667 0.0000 1
O1 O 0.0000 0.0000 0.1313 1
O2 O 0.0432 0.2920 0.2500 1
O3 O 0.0967 0.3773 0.0557 1
O4 O 0.3333 0.6667 0.1658 1
O5 O 0.4214 0.0879 0.6530 1
```

- Total energy after the MP2020 corrections: -547.94 eV per cell
- Maximum piezoelectric response: 0.0 C/m2



Material: Dy2YTaO7
Method: DFT, PBE
State: optimized geometry

Geometry as CIF:
```
data_Dy2YTaO7
_chemical_formula_sum 'Dy8 Y4 Ta4 O28'
_space_group_name_H-M_alt 'C m c m'
_space_group_IT_number 63
_space_group_name_Hall '-C 2c 2'
_cell_length_a 7.4876
_cell_length_b 10.5642
_cell_length_c 7.5221
_cell_angle_alpha 90.00
_cell_angle_beta 90.00
_cell_angle_gamma 90.00
loop_
_atom_site_label
_atom_site_type_symbol
_atom_site_fract_x
_atom_site_fract_y
_atom_site_fract_z
_atom_site_occupancy
Dy1 Dy 0.2323 0.2329 0.2500 1
Y1 Y 0.0000 0.5000 0.0000 1
Ta1 Ta 0.0000 0.0000 0.0000 1
O1 O 0.0000 0.0672 0.2500 1
O2 O 0.0000 0.3622 0.2500 1
O3 O 0.0000 0.3701 0.7500 1
O4 O 0.1971 0.1254 0.5310 1
```

- Total energy after the MP2020 corrections: -418.25 eV per cell



Material: Dy2Te3O9
Method: DFT, PBE
State: optimized geometry

Geometry as CIF:
```
data_Dy2Te3O9
_chemical_formula_sum 'Dy16 Te24 O72'
_space_group_name_H-M_alt 'P 1 21/c 1'
_space_group_IT_number 14
_space_group_name_Hall '-P 2ybc'
_cell_length_a 13.9216
_cell_length_b 5.4306
_cell_length_c 22.8549
_cell_angle_alpha 90.00
_cell_angle_beta 98.62
_cell_angle_gamma 90.00
loop_
_atom_site_label
_atom_site_type_symbol
_atom_site_fract_x
_atom_site_fract_y
_atom_site_fract_z
_atom_site_occupancy
Dy1 Dy 0.0098 0.2469 0.0604 1
Dy2 Dy 0.1806 0.7199 0.3331 1
Dy3 Dy 0.2000 0.2048 0.2053 1
Dy4 Dy 0.3774 0.2387 0.3584 1
Te1 Te 0.0028 0.2113 0.8059 1
Te2 Te 0.1855 0.2079 0.4534 1
Te3 Te 0.1940 0.6911 0.0875 1
Te4 Te 0.3680 0.7192 0.2409 1
Te5 Te 0.3873 0.7381 0.4748 1
Te6 Te 0.4199 0.2028 0.1246 1
O1 O 0.0250 0.5950 0.3484 1
O2 O 0.0794 0.0968 0.9702 1
O3 O 0.0948 0.5773 0.0222 1
O4 O 0.1003 0.0911 0.7622 1
O5 O 0.1075 0.5846 0.7471 1
O6 O 0.1089 0.5197 0.8996 1
O7 O 0.1270 0.0163 0.6372 1
O8 O 0.1388 0.0006 0.1015 1
O9 O 0.2279 0.1280 0.8856 1
O10 O 0.2785 0.6583 0.6757 1
O11 O 0.2878 0.5738 0.5057 1
O12 O 0.2893 0.0051 0.7797 1
O13 O 0.3110 0.5193 0.7855 1
O14 O 0.3116 0.6116 0.9060 1
O15 O 0.3491 0.1514 0.6820 1
O16 O 0.4420 0.0327 0.9389 1
O17 O 0.4920 0.5056 0.3233 1
O18 O 0.4949 0.0155 0.6161 1
```

- Total energy after the MP2020 corrections: -782.51 eV per cell



Material: DyTe3O8
Method: DFT, PBE
State: optimized geometry

Geometry as CIF:
```
data_DyTe3O8
_chemical_formula_sum 'Dy4 Te12 O32'
_space_group_name_H-M_alt 'C 1 2/c 1'
_space_group_IT_number 15
_space_group_name_Hall '-C 2yc'
_cell_length_a 12.5416
_cell_length_b 5.6207
_cell_length_c 10.5349
_cell_angle_alpha 90.00
_cell_angle_beta 116.33
_cell_angle_gamma 90.00
loop_
_atom_site_label
_atom_site_type_symbol
_atom_site_fract_x
_atom_site_fract_y
_atom_site_fract_z
_atom_site_occupancy
Dy1 Dy 0.0000 0.0608 0.2500 1
Te1 Te 0.0000 0.5000 0.0000 1
Te2 Te 0.2205 0.4131 0.8573 1
O1 O 0.0843 0.2626 0.6702 1
O2 O 0.1055 0.3892 0.4053 1
O3 O 0.1128 0.2475 0.1321 1
O4 O 0.1777 0.1075 0.9148 1
```

- Total energy after the MP2020 corrections: -310.56 eV per cell